[1]
! CuAuSe4, relaxed, DFT meta-GGA r2SCAN; values from VASP
&SYSTEM
  ibrav = 0, nat = 12, ntyp = 3
/
ATOMIC_SPECIES
Cu 63.55 Cu.upf
Au 196.97 Au.upf
Se 78.96 Se.upf
CELL_PARAMETERS angstrom
4.466 0.000 0.000
0.000 7.452 0.000
-0.516 0.000 8.111
ATOMIC_POSITIONS crystal
Cu 0.037 0.250 0.161
Cu 0.963 0.750 0.839
Au 0.500 0.000 0.500
Au 0.500 0.500 0.500
Se 0.070 0.750 0.132
Se 0.151 0.750 0.566
Se 0.399 0.001 0.195
Se 0.399 0.499 0.195
Se 0.601 0.501 0.805
Se 0.601 0.999 0.805
Se 0.849 0.250 0.434
Se 0.930 0.250 0.868
! M_tot = 0.00 μB/cell
! energy of formation = -0.118 eV per atom
! space-group type = P2_1/m (11)
! electronic total energy = -19.897 eV per atom



[2]
! DyAu6, relaxed, DFT meta-GGA r2SCAN; values from VASP
&SYSTEM
  ibrav = 0, nat = 56, ntyp = 2
/
ATOMIC_SPECIES
Dy 162.50 Dy.upf
Au 196.97 Au.upf
CELL_PARAMETERS angstrom
10.389 0.000 0.000
0.000 10.389 0.000
0.000 0.000 9.843
ATOMIC_POSITIONS crystal
Dy 0.073 0.073 0.211
Dy 0.073 0.427 0.711
Dy 0.427 0.073 0.711
Dy 0.427 0.427 0.211
Dy 0.573 0.573 0.789
Dy 0.573 0.927 0.289
Dy 0.927 0.573 0.289
Dy 0.927 0.927 0.789
Au 0.000 0.000 0.500
Au 0.000 0.500 0.000
Au 0.014 0.680 0.578
Au 0.014 0.820 0.078
Au 0.122 0.696 0.853
Au 0.122 0.804 0.353
Au 0.149 0.149 0.679
Au 0.149 0.351 0.179
Au 0.180 0.514 0.422
Au 0.180 0.986 0.922
Au 0.196 0.622 0.147
Au 0.196 0.878 0.647
Au 0.250 0.250 0.432
Au 0.250 0.250 0.932
Au 0.304 0.622 0.647
Au 0.304 0.878 0.147
Au 0.320 0.514 0.922
Au 0.320 0.986 0.422
Au 0.351 0.149 0.179
Au 0.351 0.351 0.679
Au 0.378 0.696 0.353
Au 0.378 0.804 0.853
Au 0.486 0.680 0.078
Au 0.486 0.820 0.578
Au 0.500 0.000 0.000
Au 0.500 0.500 0.500
Au 0.514 0.180 0.422
Au 0.514 0.320 0.922
Au 0.622 0.196 0.147
Au 0.622 0.304 0.647
Au 0.649 0.649 0.321
Au 0.649 0.851 0.821
Au 0.680 0.014 0.578
Au 0.680 0.486 0.078
Au 0.696 0.122 0.853
Au 0.696 0.378 0.353
Au 0.750 0.750 0.068
Au 0.750 0.750 0.568
Au 0.804 0.122 0.353
Au 0.804 0.378 0.853
Au 0.820 0.014 0.078
Au 0.820 0.486 0.578
Au 0.851 0.649 0.821
Au 0.851 0.851 0.321
Au 0.878 0.196 0.647
Au 0.878 0.304 0.147
Au 0.986 0.180 0.922
Au 0.986 0.320 0.422
! M_tot = 0.00 μB/cell
! energy of formation = -0.467 eV per atom
! space-group type = P4_2/ncm (138)
! electronic total energy = -48.395 eV per atom



[3]
! Dy2InAu2, relaxed, DFT meta-GGA r2SCAN; values from VASP
&SYSTEM
  ibrav = 0, nat = 10, ntyp = 3
/
ATOMIC_SPECIES
Dy 162.50 Dy.upf
In 114.82 In.upf
Au 196.97 Au.upf
CELL_PARAMETERS angstrom
7.895 0.000 0.000
0.000 7.895 0.000
0.000 0.000 3.721
ATOMIC_POSITIONS crystal
Dy 0.170 0.330 0.000
Dy 0.330 0.830 0.000
Dy 0.670 0.170 0.000
Dy 0.830 0.670 0.000
In 0.000 0.000 0.500
In 0.500 0.500 0.500
Au 0.128 0.628 0.500
Au 0.372 0.128 0.500
Au 0.628 0.872 0.500
Au 0.872 0.372 0.500
! M_tot = 0.00 μB/cell
! energy of formation = -0.928 eV per atom
! space-group type = P4/mbm (127)
! electronic total energy = -38.470 eV per atom



[4]
! LiDyAu2, relaxed, DFT meta-GGA r2SCAN; values from VASP
&SYSTEM
  ibrav = 0, nat = 4, ntyp = 3
/
ATOMIC_SPECIES
Li 6.94 Li.upf
Dy 162.50 Dy.upf
Au 196.97 Au.upf
CELL_PARAMETERS angstrom
0.000 3.405 3.405
3.405 0.000 3.405
3.405 3.405 0.000
ATOMIC_POSITIONS crystal
Li 0.000 0.000 0.000
Dy 0.500 0.500 0.500
Au 0.250 0.250 0.250
Au 0.750 0.750 0.750
! M_tot = 0.00 μB/cell
! energy of formation = -0.774 eV per atom
! space-group type = Fm-3m (225)
! electronic total energy = -34.658 eV per atom



[5]
! DyMgAu, relaxed, DFT meta-GGA r2SCAN; values from VASP
&SYSTEM
  ibrav = 0, nat = 9, ntyp = 3
/
ATOMIC_SPECIES
Dy 162.50 Dy.upf
Mg 24.30 Mg.upf
Au 196.97 Au.upf
CELL_PARAMETERS angstrom
7.561 0.000 0.000
-3.781 6.548 0.000
0.000 0.000 4.067
ATOMIC_POSITIONS crystal
Dy 0.000 0.588 0.000
Dy 0.412 0.412 0.000
Dy 0.588 0.000 0.000
Mg 0.000 0.247 0.500
Mg 0.247 0.000 0.500
Mg 0.753 0.753 0.500
Au 0.000 0.000 0.000
Au 0.333 0.667 0.500
Au 0.667 0.333 0.500
! M_tot = 0.00 μB/cell
! energy of formation = -0.749 eV per atom
! space-group type = P-62m (189)
! electronic total energy = -29.661 eV per atom



[6]
! DyNi4Au, relaxed, DFT meta-GGA r2SCAN; values from VASP
&SYSTEM
  ibrav = 0, nat = 6, ntyp = 3
/
ATOMIC_SPECIES
Dy 162.50 Dy.upf
Ni 58.69 Ni.upf
Au 196.97 Au.upf
CELL_PARAMETERS angstrom
0.000 3.449 3.449
3.449 0.000 3.449
3.449 3.449 0.000
ATOMIC_POSITIONS crystal
Dy 0.000 0.000 0.000
Ni 0.376 0.376 0.376
Ni 0.376 0.376 0.872
Ni 0.376 0.872 0.376
Ni 0.872 0.376 0.376
Au 0.750 0.750 0.750
! M_tot = 0.20 μB/cell
! energy of formation = -0.368 eV per atom
! space-group type = F-43m (216)
! electronic total energy = -22.117 eV per atom